Entry 1:
Entry from the Materials Project: an optimized crystal structure of TlSnF3 (r2SCAN).

extended XYZ file:
```
40
Lattice="6.1100 -1.2433 8.2485 9.0676 -0.8223 -4.9009 4.0697 7.0075 1.1398" Properties=species:S:1:pos:R:3 pbc="T T T"
F 12.9580 1.2580 4.0406
F 6.1471 0.9737 0.6768
F 13.1656 3.9242 3.7893
F 10.5339 -1.1284 3.9535
F 13.2619 2.4740 1.4418
F 6.3363 3.6469 0.4829
Sn 9.5214 5.9558 2.4410
F 9.4710 4.0309 8.0108
F 8.9615 0.2876 6.9083
Tl 5.8602 6.3919 1.2751
F 10.2469 -0.4836 -0.9216
F 8.7463 6.0144 0.5263
F 13.0853 4.0888 -1.8094
Sn 9.7768 -1.0226 2.0088
F 8.0812 2.7491 5.8841
F 6.0126 2.4112 3.0631
Sn 9.6520 4.4093 6.0112
Sn 11.7443 2.4716 2.8781
F 11.5819 5.3718 6.6607
F 10.9083 2.8247 5.7548
F 3.8484 0.0787 1.9272
F 10.3205 4.5366 -2.4155
F 15.4573 4.8279 2.5455
Sn 7.5330 2.4587 1.6644
Tl 3.7194 2.8731 1.1762
Tl 13.3563 -1.4579 3.2588
Tl 6.1196 4.6806 4.7500
Tl 5.4637 1.3731 -1.9508
Tl 13.6171 3.5709 6.4131
F 7.8667 4.4326 2.6483
F 11.2083 2.1045 -1.2953
F 11.4312 0.4632 1.8836
Tl 15.5201 2.0642 3.2556
Sn 9.1995 1.1308 -1.5937
F 9.8964 0.8774 -3.4974
F 6.1972 0.7355 6.2996
Sn 11.3887 4.3458 -0.6786
F 7.7481 -0.5124 -2.2521
Sn 7.9083 0.6362 5.1785
Tl 12.9664 0.2642 -0.3111
```

Properties
ΔE_f in meV per atom: -2216
Space group: Cc
Size of the total moment in μB per cell: 0.00


Entry 2:
Entry from the Materials Project: an optimized crystal structure of Dy2Ge3Pt9 (r2SCAN).

extended XYZ file:
```
28
Lattice="-5.6732 -5.0161 -1.6694 1.7503 -7.3504 -1.7438 -1.9316 -6.3830 7.5356" Properties=species:S:1:pos:R:3 pbc="T T T"
Dy -3.3819 -8.6915 4.5366
Pt -3.9340 -14.8690 1.3361
Dy -4.7020 -12.8522 3.3663
Pt -2.9619 -7.2111 -1.3336
Pt 0.2700 -8.6325 0.1501
Ge -3.8024 -5.6996 2.9331
Ge -5.2289 -10.9054 6.1313
Ge -4.9785 -9.9706 1.7929
Pt -6.1244 -10.1170 3.9724
Pt -1.5611 -7.4888 6.5409
Pt -4.2934 -11.2608 -2.4184
Pt -1.9205 -3.8806 2.7864
Pt -1.3889 -6.6357 3.5941
Pt -2.6884 -10.7923 2.4218
Pt -0.6980 -10.3299 4.2234
Pt -1.5582 -13.0463 3.6211
Pt -4.2963 -5.7033 0.5013
Pt -3.1661 -7.9572 1.7007
Pt -5.1565 -8.4196 -0.1009
Ge -0.8760 -8.7790 2.3296
Dy -2.4726 -10.0581 -0.4142
Pt -4.4656 -12.1139 0.5284
Ge 0.8751 -3.6752 -0.8719
Pt -4.2273 -15.6840 4.2841
Dy -1.1525 -5.8973 0.7562
Pt -2.8926 -11.5385 5.4561
Ge -0.6256 -7.8442 -2.0089
Pt -1.6272 -3.0655 -0.1616
```

Properties
ΔE_f in meV per atom: -854
Space group: C2/c
Size of the total moment in μB per cell: 0.00